Record 1
Ca2CoWO6 after structural relaxation, computed with GGA+U.

M_tot ... 0.0 μB per formula unit
Density ... 5.6 Mg/m³
Energy with MP2020 corrections ... -159.4 eV for the cell shown
Energy of formation from the pure elements ... -25.946 eV/f.u.

Unit cell a=5.577 b=5.598 c=9.684 alpha=72.69 beta=73.09 gamma=60.12
Sites, in units of the cell vectors:
1 Ca 0.612 0.654 0.136
2 O 0.705 0.043 0.162
3 O 0.336 0.885 0.836
4 Ca 0.113 0.152 0.636
5 O 0.237 0.605 0.112
6 O 0.820 0.331 0.876
7 O 0.872 0.796 0.924
8 Co 0.762 0.739 0.753
9 Ca 0.363 0.404 0.885
10 Ca 0.864 0.901 0.386
11 Co 0.263 0.235 0.253
12 O 0.371 0.296 0.423
13 O 0.320 0.831 0.376
14 O 0.189 0.128 0.078
15 O 0.689 0.627 0.578
16 O 0.205 0.541 0.662
17 W 0.518 0.478 0.501
18 O 0.738 0.104 0.611
19 W 0.017 0.979 0.001
20 O 0.836 0.385 0.336

=====

Record 2
Ca2CoWO6 after structural relaxation, computed with GGA+U.

M_tot ... 3.0 μB per formula unit
Density ... 5.7 Mg/m³
Energy with MP2020 corrections ... -159.9 eV for the cell shown
Energy of formation from the pure elements ... -26.194 eV/f.u.

Unit cell a=5.469 b=5.657 c=7.830 alpha=90.00 beta=90.33 gamma=90.00
Sites, in units of the cell vectors:
1 Co 0.500 0.000 0.000
2 O 0.188 0.216 0.945
3 O 0.312 0.716 0.555
4 W 0.500 0.000 0.500
5 O 0.789 0.807 0.454
6 Co 0.000 0.500 0.500
7 Ca 0.014 0.944 0.747
8 O 0.596 0.033 0.740
9 Ca 0.986 0.056 0.253
10 O 0.404 0.967 0.260
11 O 0.711 0.307 0.046
12 O 0.812 0.784 0.055
13 O 0.096 0.467 0.240
14 O 0.688 0.284 0.445
15 W 0.000 0.500 0.000
16 O 0.211 0.193 0.546
17 O 0.904 0.533 0.760
18 Ca 0.514 0.556 0.247
19 Ca 0.486 0.444 0.753
20 O 0.289 0.693 0.954

=====

Please write out number 2 again, unchanged.
Ca2CoWO6 after structural relaxation, computed with GGA+U.

M_tot ... 3.0 μB per formula unit
Density ... 5.7 Mg/m³
Energy with MP2020 corrections ... -159.9 eV for the cell shown
Energy of formation from the pure elements ... -26.194 eV/f.u.

Unit cell a=5.469 b=5.657 c=7.830 alpha=90.00 beta=90.33 gamma=90.00
Sites, in units of the cell vectors:
1 Co 0.500 0.000 0.000
2 O 0.188 0.216 0.945
3 O 0.312 0.716 0.555
4 W 0.500 0.000 0.500
5 O 0.789 0.807 0.454
6 Co 0.000 0.500 0.500
7 Ca 0.014 0.944 0.747
8 O 0.596 0.033 0.740
9 Ca 0.986 0.056 0.253
10 O 0.404 0.967 0.260
11 O 0.711 0.307 0.046
12 O 0.812 0.784 0.055
13 O 0.096 0.467 0.240
14 O 0.688 0.284 0.445
15 W 0.000 0.500 0.000
16 O 0.211 0.193 0.546
17 O 0.904 0.533 0.760
18 Ca 0.514 0.556 0.247
19 Ca 0.486 0.444 0.753
20 O 0.289 0.693 0.954

=====

Question: The lowest energy of formation from the pure elements belongs to which entry?
Answer: number 2

=====

Question: Which formula does entry 2 have?
Answer: Ca2CoWO6

=====

Question: Among the records above, which one has the highest M_tot?
Answer: number 2